# V2GaN, optimized geometry, DFT PBE
# magnetic moment = 0.00 μB/f.u.
# total energy = -8.1540 eV per atom
# energy relative to the elements = -0.8611 eV/atom
data_V2GaN
_space_group_name_H-M_alt 'P 63/m m c'
_space_group_IT_number 194
_space_group_name_Hall '-P 6c 2c'
_cell_length_a 2.9081
_cell_length_b 2.9081
_cell_length_c 12.8475
_cell_angle_alpha 90.00
_cell_angle_beta 90.00
_cell_angle_gamma 120.00
loop_
_atom_site_label
_atom_site_type_symbol
_atom_site_fract_x
_atom_site_fract_y
_atom_site_fract_z
_atom_site_occupancy
V1 V 0.3333 0.6667 0.0856 1
Ga1 Ga 0.3333 0.6667 0.7500 1
N1 N 0.0000 0.0000 0.0000 1